Entry from the Materials Project: NdCu3Se2ClO8 after structural relaxation (PBE).

```
NdCu3Se2ClO8
1.0
6.440 0.000 0.000
0.000 7.181 0.000
0.000 0.000 9.726
Nd Cu Se Cl O
2 6 4 2 16
direct
0.250 0.263 0.250
0.750 0.737 0.750
0.500 0.000 0.500
0.250 0.795 0.250
0.000 0.000 0.000
0.750 0.205 0.750
0.000 0.000 0.500
0.500 0.000 0.000
0.750 0.401 0.443
0.250 0.599 0.557
0.250 0.599 0.943
0.750 0.401 0.057
0.250 0.159 0.750
0.750 0.841 0.250
0.750 0.423 0.880
0.039 0.745 0.584
0.461 0.745 0.584
0.539 0.255 0.416
0.961 0.255 0.084
0.750 0.423 0.620
0.039 0.745 0.916
0.750 0.012 0.611
0.750 0.012 0.889
0.961 0.255 0.416
0.250 0.577 0.380
0.539 0.255 0.084
0.461 0.745 0.916
0.250 0.577 0.120
0.250 0.988 0.389
0.250 0.988 0.111
```

Calculated values
Total magnetization   6.001 μB per cell
SG   Pmmn
Total DFT energy (no corrections)   -5.556 eV/atom

***

Entry from the Materials Project: V2ZnN2 after structural relaxation (PBE).

```
V2ZnN2
1.0
3.742 0.000 0.000
0.000 3.742 0.000
0.000 0.000 4.881
V Zn N
2 1 2
direct
0.000 0.000 0.720
0.000 0.000 0.280
0.500 0.500 0.000
0.000 0.500 0.260
0.500 0.000 0.740
```

Calculated values
Total magnetization   0.002 μB per cell
SG   P-4m2
Total DFT energy (no corrections)   -6.881 eV/atom

***

Number 1: ΔE_f -23.346 eV per formula unit. Number 2: ΔE_f 0.971 eV per formula unit.